1.
20
Lattice="-3.791 -2.503 0.083 1.093 -1.865 -6.301 4.491 -6.707 2.765" Properties=species:S:1:pos:R:3 comment="CaCO3 GGA-PBE optimized geometry" final_energy_ev_per_atom=-7.4779 spacegroup="Pnma, No. 62" formation_enthalpy_0k_mev_per_atom=-2674 volume_a3_per_cell=258.2 pbc="T T T"
Ca -1.349 -2.184 -3.109
Ca 0.000 0.000 0.000
Ca 2.245 -3.354 1.382
Ca 0.897 -5.538 -1.726
C 1.713 -2.931 -3.311
C 2.314 -7.963 -3.329
C -0.520 -3.113 -0.124
C 0.080 -8.145 -0.141
O 0.344 -2.314 0.411
O 2.752 -4.979 -0.301
O 0.656 -3.402 -2.735
O -0.958 -6.097 -3.151
O 2.141 -6.676 -3.426
O 1.449 -8.762 -3.863
O -0.348 -4.400 -0.027
O -1.542 -2.617 -0.762
O 3.335 -8.459 -2.691
O -2.152 -4.314 -3.887
O 3.946 -6.762 0.434
O 1.137 -7.674 -0.718


2.
58
Lattice="3.491 12.579 0.000 -3.491 12.579 0.000 0.000 3.261 10.380" Properties=species:S:1:pos:R:3 comment="CaYP7O20 GGA-PBE optimized geometry" final_energy_ev_per_atom=-7.4289 spacegroup="C2/c, No. 15" formation_enthalpy_0k_mev_per_atom=-2891 volume_a3_per_cell=911.6 pbc="T T T"
Ca 0.000 0.000 0.000
Ca 0.000 1.630 5.190
Y 1.745 6.289 0.000
Y -1.745 7.920 5.190
P -0.494 8.665 1.772
P -0.494 18.123 3.418
P 0.494 19.753 8.608
P 0.494 10.296 6.962
P -1.004 13.394 2.595
P 1.004 15.024 7.785
P 0.956 11.192 2.505
P 0.956 15.596 2.685
P -0.956 17.226 7.876
P -0.956 12.823 7.695
P 0.840 24.809 10.001
P 0.840 5.240 5.569
P -0.840 3.610 0.379
P -0.840 23.178 4.811
O -1.465 11.919 8.902
O -1.465 18.130 6.669
O 1.465 16.500 1.479
O 1.465 10.288 3.711
O -0.163 23.701 9.888
O -0.163 6.348 5.682
O 0.163 4.718 0.492
O 0.163 22.070 4.698
O 0.484 7.876 0.961
O 0.484 18.912 4.229
O -0.484 20.542 9.419
O -0.484 9.507 6.151
O -0.767 18.522 2.004
O -0.767 8.266 3.186
O 0.767 9.897 8.377
O 0.767 20.152 7.194
O -1.691 12.784 1.434
O -1.691 14.004 3.756
O 1.691 15.635 8.947
O 1.691 14.414 6.624
O -0.038 10.222 1.743
O -0.038 16.566 3.447
O 0.038 18.196 8.638
O 0.038 11.853 6.933
O 0.040 12.270 3.215
O 0.040 14.518 1.975
O -0.040 16.149 7.166
O -0.040 13.900 8.405
O 2.000 11.748 1.630
O 2.000 15.040 3.560
O -2.000 16.670 8.750
O -2.000 13.379 6.820
O -1.890 8.732 1.022
O -1.890 18.056 4.168
O 1.890 19.686 9.358
O 1.890 10.363 6.212
O 0.444 26.229 9.883
O 0.444 3.820 5.687
O -0.444 2.190 0.497
O -0.444 24.598 4.693


3.
28
Lattice="3.640 0.000 0.000 0.000 9.671 0.000 0.000 0.000 10.505" Properties=species:S:1:pos:R:3 comment="CaYBO4 GGA-PBE optimized geometry" final_energy_ev_per_atom=-8.1230 spacegroup="Pnma, No. 62" formation_enthalpy_0k_mev_per_atom=-3524 volume_a3_per_cell=369.8 m_tot_mub_per_cell=0.00 pbc="T T T"
Ca 0.910 6.471 0.866
Ca 2.730 3.200 9.639
Ca 2.730 1.635 4.387
Ca 0.910 8.036 6.118
Y 0.910 0.858 1.170
Y 2.730 8.813 9.334
Y 2.730 5.694 4.082
Y 0.910 3.977 6.423
B 0.910 3.562 2.113
B 2.730 6.109 8.391
B 2.730 8.397 3.139
B 0.910 1.274 7.366
O 0.910 4.839 2.644
O 2.730 4.832 7.861
O 2.730 0.003 2.608
O 0.910 9.668 7.897
O 0.910 2.413 2.910
O 2.730 7.258 7.594
O 2.730 7.248 2.342
O 0.910 2.423 8.163
O 0.910 3.392 0.716
O 2.730 6.279 9.789
O 2.730 8.227 4.536
O 0.910 1.444 5.968
O 0.910 5.946 5.319
O 2.730 3.725 5.186
O 2.730 1.110 10.438
O 0.910 8.561 0.067